P.
This record from Materials Project describes a geometry-optimized MnP2O7 structure. The functional is PBE with a Hubbard U.

Cell: 4.897 13.352 8.482 Å, 71.46 89.97 100.57°
Fractional coordinates of all 40 atoms:
Mn (0.505, 0.011, 0.495)
Mn (0.255, 0.511, 0.745)
Mn (0.005, 0.011, 0.995)
Mn (0.755, 0.511, 0.245)
P (0.816, 0.633, 0.850)
P (0.316, 0.633, 0.350)
P (0.944, 0.888, 0.723)
P (0.444, 0.888, 0.223)
P (0.067, 0.133, 0.267)
P (0.567, 0.133, 0.767)
P (0.194, 0.388, 0.139)
P (0.694, 0.388, 0.639)
O (0.879, 0.761, 0.787)
O (0.379, 0.761, 0.287)
O (0.131, 0.261, 0.203)
O (0.631, 0.261, 0.703)
O (0.660, 0.920, 0.682)
O (0.160, 0.920, 0.182)
O (0.501, 0.601, 0.841)
O (0.001, 0.601, 0.341)
O (0.913, 0.601, 0.028)
O (0.413, 0.601, 0.528)
O (0.072, 0.920, 0.869)
O (0.572, 0.920, 0.369)
O (0.147, 0.920, 0.569)
O (0.647, 0.920, 0.069)
O (0.864, 0.101, 0.420)
O (0.364, 0.101, 0.920)
O (0.987, 0.601, 0.729)
O (0.487, 0.601, 0.229)
O (0.023, 0.420, 0.261)
O (0.523, 0.420, 0.761)
O (0.098, 0.420, 0.961)
O (0.598, 0.420, 0.461)
O (0.938, 0.101, 0.121)
O (0.438, 0.101, 0.621)
O (0.350, 0.101, 0.308)
O (0.850, 0.101, 0.808)
O (0.510, 0.420, 0.148)
O (0.010, 0.420, 0.648)

=====

Q.
This record from Materials Project describes a geometry-optimized MnP2O7 structure. The functional is PBE with a Hubbard U.

symmetry = C2/m, No. 12

Cell: 6.574 6.574 6.808 Å, 111.74 111.74 80.01°
Fractional coordinates of all 20 atoms:
Mn (0.186, 0.814, 0.000)
Mn (0.814, 0.186, 0.000)
P (0.194, 0.194, 0.443)
P (0.272, 0.272, 0.934)
P (0.728, 0.728, 0.066)
P (0.806, 0.806, 0.557)
O (0.044, 0.735, 0.678)
O (0.141, 0.141, 0.997)
O (0.176, 0.176, 0.664)
O (0.211, 0.513, 0.017)
O (0.265, 0.956, 0.322)
O (0.358, 0.358, 0.497)
O (0.487, 0.789, 0.983)
O (0.513, 0.211, 0.017)
O (0.642, 0.642, 0.503)
O (0.735, 0.044, 0.678)
O (0.789, 0.487, 0.983)
O (0.824, 0.824, 0.336)
O (0.859, 0.859, 0.003)
O (0.956, 0.265, 0.322)

=====

Most stable of them? P.

=====

P.
This record from Materials Project describes a geometry-optimized BaCaEuWO6 structure. The functional is PBE with a Hubbard U.

symmetry = P-4n2, No. 118

Cell: 5.926 5.926 8.696 Å, 90.00 90.00 90.00°
Fractional coordinates of all 20 atoms:
Ba (0.000, 0.500, 0.250)
Ba (0.500, 0.000, 0.750)
Ca (0.000, 0.500, 0.750)
Ca (0.500, 0.000, 0.250)
Eu (0.000, 0.000, 0.000)
Eu (0.500, 0.500, 0.500)
W (0.000, 0.000, 0.500)
W (0.500, 0.500, 0.000)
O (0.000, 0.000, 0.271)
O (0.000, 0.000, 0.729)
O (0.150, 0.295, 0.522)
O (0.205, 0.350, 0.978)
O (0.295, 0.850, 0.478)
O (0.350, 0.795, 0.022)
O (0.500, 0.500, 0.229)
O (0.500, 0.500, 0.771)
O (0.650, 0.205, 0.022)
O (0.705, 0.150, 0.478)
O (0.795, 0.650, 0.978)
O (0.850, 0.705, 0.522)

=====

Q.
This record from Materials Project describes a geometry-optimized BaCaEuWO6 structure. The functional is PBE with a Hubbard U.

symmetry = F-43m, No. 216

Cell: 5.970 5.970 5.970 Å, 60.00 60.00 60.00°
Fractional coordinates of all 10 atoms:
Ba (0.000, 0.000, 0.000)
Ca (0.750, 0.750, 0.750)
Eu (0.500, 0.500, 0.500)
W (0.250, 0.250, 0.250)
O (0.019, 0.019, 0.481)
O (0.019, 0.481, 0.019)
O (0.019, 0.481, 0.481)
O (0.481, 0.019, 0.019)
O (0.481, 0.019, 0.481)
O (0.481, 0.481, 0.019)

=====

Most stable of them? Q.

=====

P.
This record from Materials Project describes a geometry-optimized MgFe4H4O8 structure. The functional is PBE with a Hubbard U.

symmetry = I4/m, No. 87

Cell: 7.731 7.731 7.731 Å, 92.30 92.30 156.87°
Fractional coordinates of all 17 atoms:
Mg (0.000, 0.000, 0.000)
Fe (0.149, 0.647, 0.796)
Fe (0.353, 0.149, 0.502)
Fe (0.647, 0.851, 0.498)
Fe (0.851, 0.353, 0.204)
H (0.347, 0.408, 0.755)
H (0.408, 0.653, 0.062)
H (0.592, 0.347, 0.938)
H (0.653, 0.592, 0.245)
O (0.034, 0.328, 0.363)
O (0.286, 0.338, 0.625)
O (0.328, 0.966, 0.294)
O (0.338, 0.714, 0.052)
O (0.662, 0.286, 0.948)
O (0.672, 0.034, 0.706)
O (0.714, 0.662, 0.375)
O (0.966, 0.672, 0.637)

=====

Q.
This record from Materials Project describes a geometry-optimized MgFe4H4O8 structure. The functional is PBE with a Hubbard U.

symmetry = Pm, No. 6

Cell: 4.730 3.145 10.845 Å, 90.00 92.76 90.00°
Fractional coordinates of all 17 atoms:
Mg (0.000, 0.000, 0.000)
Fe (0.027, 0.500, 0.611)
Fe (0.107, 0.000, 0.382)
Fe (0.533, 0.000, 0.844)
Fe (0.581, 0.500, 0.136)
H (0.081, 0.500, 0.834)
H (0.121, 0.000, 0.178)
H (0.558, 0.500, 0.370)
H (0.579, 0.000, 0.614)
O (0.252, 0.500, 0.781)
O (0.261, 0.000, 0.554)
O (0.377, 0.500, 0.315)
O (0.396, 0.000, 0.047)
O (0.759, 0.000, 0.669)
O (0.816, 0.500, 0.927)
O (0.875, 0.500, 0.433)
O (0.915, 0.000, 0.192)

=====

Most stable of them? Q.